No. 1
The following is a DFT calculation (PBE-GGA) of a relaxed structure of Eu2TiNbO6.

extended XYZ file:
```
10
Lattice="0.000 -4.007 -4.007 4.007 0.000 -4.007 4.007 -4.007 0.000" Properties=species:S:1:pos:R:3 pbc="T T T"
Eu 2.004 -2.004 -2.004
Eu 6.011 -6.011 -6.011
Ti 4.007 -4.007 -4.007
Nb 0.000 0.000 0.000
O 2.026 -4.007 -4.007
O 5.989 -4.007 -4.007
O 4.007 -5.989 -4.007
O 4.007 -2.026 -4.007
O 4.007 -4.007 -5.989
O 4.007 -4.007 -2.026
```

Results
total energy after the MP2020 corrections	-101.69	eV per cell

No. 2
The following is a DFT calculation (PBE-GGA) of a relaxed structure of YTh.

extended XYZ file:
```
2
Lattice="1.764 -3.056 0.000 1.764 3.056 0.000 0.000 0.000 5.950" Properties=species:S:1:pos:R:3 pbc="T T T"
Y 0.000 0.000 0.000
Th 1.764 1.019 2.975
```

Results
ΔE to the lowest computed polymorph	0.08	eV per formula unit

No. 3
The following is a DFT calculation (PBE-GGA) of a relaxed structure of PrMgTi2O6.

extended XYZ file:
```
20
Lattice="5.363 0.000 0.000 0.000 5.531 0.000 0.000 0.000 7.701" Properties=species:S:1:pos:R:3 pbc="T T T"
Pr 0.055 3.885 0.000
Pr 2.737 1.645 3.850
Mg 2.586 1.127 0.000
Mg 5.267 4.404 3.850
Ti 0.004 1.352 5.781
Ti 0.004 1.352 1.920
Ti 2.685 4.179 1.930
Ti 2.685 4.179 5.770
O 0.429 1.149 3.850
O 1.161 5.359 6.174
O 1.161 5.359 1.527
O 1.666 2.461 1.477
O 1.666 2.461 6.223
O 1.998 4.022 3.850
O 3.111 4.382 0.000
O 3.842 0.172 5.377
O 3.842 0.172 2.323
O 4.347 3.070 5.328
O 4.347 3.070 2.373
O 4.680 1.508 0.000
```

Results
total energy after the MP2020 corrections	-171.97	eV per cell

No. 4
The following is a DFT calculation (PBE-GGA) of a relaxed structure of VB.

extended XYZ file:
```
4
Lattice="0.574 3.884 -1.748 -2.452 -3.474 -0.624 -2.057 1.125 1.822" Properties=species:S:1:pos:R:3 pbc="T T T"
V -2.519 -2.106 -0.334
V -1.415 3.640 -0.216
B -1.642 0.026 -0.660
B -2.292 1.508 0.110
```

Results
E	-17.5	eV per formula unit

No. 5
The following is a DFT calculation (PBE-GGA) of a relaxed structure of Nd4Bi2S9.

extended XYZ file:
```
60
Lattice="-17.771 -8.902 20.367 2.828 -2.413 1.413 4.150 9.388 7.725" Properties=species:S:1:pos:R:3 pbc="T T T"
Nd -7.802 1.671 21.266
Nd -0.113 3.414 8.854
Nd -2.991 -3.598 8.239
Nd -10.680 -5.340 20.651
Nd -10.795 -0.942 22.795
Nd -1.842 3.661 12.736
Nd 0.002 -0.985 6.710
Nd -8.951 -5.588 16.769
Nd 2.818 5.874 7.189
Nd -5.998 1.583 17.504
Nd -13.611 -7.801 22.316
Nd -4.795 -3.509 12.001
Nd -13.299 -7.070 17.342
Nd -2.961 0.665 9.861
Nd 2.506 5.144 12.163
Nd -7.832 -2.592 19.644
Bi -7.454 -1.555 15.061
Bi -0.054 -0.466 2.111
Bi -3.339 -0.372 14.444
Bi -10.739 -1.461 27.394
Bi -13.568 -3.653 23.716
Bi -3.114 4.346 16.451
Bi 2.775 1.726 5.789
Bi -7.679 -6.273 13.054
S -15.382 -5.837 23.616
S -7.629 -3.950 11.323
S 4.589 3.910 5.889
S -3.164 2.023 18.182
S -10.155 -5.280 14.108
S -0.063 1.901 6.170
S -0.638 3.353 15.397
S -10.730 -3.828 23.335
S -15.894 -8.189 20.626
S -5.762 -0.919 12.761
S 5.101 6.262 8.879
S -5.031 -1.007 16.744
S -4.199 2.137 14.850
S -12.761 -1.583 25.636
S -6.594 -4.063 14.655
S 1.968 -0.344 3.869
S -10.735 -2.397 20.190
S -0.096 6.021 13.271
S -0.058 0.471 9.315
S -10.697 -7.948 16.234
S -13.480 -4.964 21.299
S -5.636 -2.871 9.176
S 2.687 3.038 8.206
S -5.157 0.944 20.329
S -9.273 -2.611 16.899
S -1.709 -1.150 4.255
S -1.520 0.684 12.606
S -9.084 -0.776 25.250
S -11.575 -4.771 17.818
S -2.868 -0.724 7.302
S 0.782 2.844 11.687
S -7.925 -1.202 22.203
S -7.982 0.052 18.862
S 1.443 5.722 9.681
S -2.811 -1.979 10.643
S -12.236 -7.649 19.824
```

Results
total energy after the MP2020 corrections	-362.49	eV per cell

No. 6
The following is a DFT calculation (PBE-GGA) of a relaxed structure of Dy9Sb5O5.

extended XYZ file:
```
38
Lattice="9.875 0.000 0.000 0.000 9.875 0.000 0.000 0.000 8.878" Properties=species:S:1:pos:R:3 pbc="T T T"
Dy 4.938 0.000 5.969
Dy 7.846 1.033 3.034
Dy 2.707 0.816 0.016
Dy 5.753 2.231 0.016
Dy 2.029 8.842 3.034
Dy 5.971 6.966 3.034
Dy 2.909 5.971 5.844
Dy 4.122 7.644 0.016
Dy 2.231 4.122 8.862
Dy 8.842 7.846 5.844
Dy 0.000 4.938 2.909
Dy 0.816 7.168 8.862
Dy 9.059 2.707 8.862
Dy 7.644 5.753 8.862
Dy 7.168 9.059 0.016
Dy 3.904 2.909 3.034
Dy 6.966 3.904 5.844
Dy 1.033 2.029 5.844
Sb 5.881 6.867 6.199
Sb 8.932 7.945 2.679
Sb 6.867 3.994 2.679
Sb 0.000 4.938 6.050
Sb 3.008 5.881 2.679
Sb 7.945 0.943 6.199
Sb 3.994 3.008 6.199
Sb 1.930 8.932 6.199
Sb 0.943 1.930 2.679
Sb 4.938 0.000 2.828
O 2.221 8.689 0.771
O 2.717 6.123 8.107
O 1.186 2.221 8.107
O 8.689 7.654 8.107
O 7.159 3.752 8.107
O 4.938 0.000 8.311
O 7.654 1.186 0.771
O 0.000 4.938 0.567
O 3.752 2.717 0.771
O 6.123 7.159 0.771
```

Results
total energy after the MP2020 corrections	-263.96	eV per cell

No. 7
The following is a DFT calculation (PBE-GGA) of a relaxed structure of Cs2AgI3.

extended XYZ file:
```
24
Lattice="-0.877 4.540 2.086 1.640 -5.951 13.640 15.243 3.154 -0.457" Properties=species:S:1:pos:R:3 pbc="T T T"
Cs 6.973 3.891 3.717
Cs 9.033 -2.146 11.553
Cs 0.723 -0.548 10.748
Cs 15.282 2.292 4.521
Cs 10.483 2.484 8.253
Cs 5.523 -0.740 7.017
Cs 11.928 5.928 1.365
Cs 4.077 -4.184 13.905
Ag 2.753 2.521 4.922
Ag 13.253 -0.777 10.348
Ag 5.202 -0.117 11.693
Ag 10.804 1.861 3.576
I 0.355 2.768 3.378
I 15.650 -1.024 11.892
I 7.212 1.042 10.017
I 8.794 0.702 5.253
I 2.188 1.250 7.452
I 13.818 0.494 7.818
I 6.369 -1.030 14.171
I 9.637 2.774 1.099
I 11.816 4.248 4.976
I 4.189 -2.503 10.294
I 11.459 1.029 11.831
I 4.547 0.715 3.439
```

Results
total energy after the MP2020 corrections	-68.63	eV per cell

No. 8
The following is a DFT calculation (PBE-GGA) of a relaxed structure of CaSn2P2O10.

extended XYZ file:
```
30
Lattice="0.000 5.980 8.352 3.791 0.000 8.352 3.791 5.980 0.000" Properties=species:S:1:pos:R:3 pbc="T T T"
Ca 3.791 2.990 4.176
Ca 1.895 5.980 8.352
Sn 4.689 4.442 10.472
Sn 4.689 7.519 6.233
Sn 6.585 7.432 10.409
Sn 6.585 10.510 14.648
P 1.858 5.977 4.909
P 3.754 2.987 7.619
P 1.858 5.984 11.795
P 3.754 8.974 9.085
O 3.091 5.833 10.872
O 5.632 6.035 7.048
O 3.565 7.738 8.147
O 4.986 3.138 6.695
O 4.441 6.096 2.479
O 2.031 1.271 4.345
O 3.737 9.025 5.480
O 5.632 5.926 9.656
O 3.737 2.936 11.224
O 2.546 3.106 1.697
O 3.091 6.128 5.833
O 2.546 2.874 6.656
O 4.441 5.864 14.225
O 3.926 10.242 8.184
O 2.031 4.709 4.008
O 3.926 1.719 8.521
O 5.460 7.213 12.324
O 3.565 4.223 8.557
O 4.986 8.823 10.009
O 5.460 10.728 12.733
```

Results
total energy after the MP2020 corrections	-218.55	eV per cell